Entry P
V2OF5 | PBE+U | optimized geometry

Properties
Space group   C2
Size of the total moment   3.0 μB/f.u.
Volume   94.7 Å³/f.u.

Lattice parameters (Å, degrees): 4.8886 4.8886 4.5869 91.38 91.38 59.83
Closest atoms and distances in Å follow each position.
Fractional coordinates of all 8 atoms:
1 V 0.1567 0.1567 0.2357  1 O 1.77, 4 F 1.93-1.98
2 V 0.8433 0.8433 0.7643  1 O 1.77, 4 F 1.93-1.98
3 O 0.1080 0.8920 0.0000  2 V 1.77
4 F 0.1253 0.5113 0.5013  2 V 1.93-2.04
5 F 0.4862 0.1539 0.0032  2 V 1.95-1.98
6 F 0.4887 0.8747 0.4987  2 V 1.93-2.04
7 F 0.8464 0.1536 0.5000  2 V 1.97
8 F 0.8461 0.5138 0.9968  2 V 1.95-1.98

---

Entry Q
V2OF5 | PBE+U | optimized geometry

Properties
Space group   P3
Size of the total moment   3.0 μB/f.u.
Volume   97.6 Å³/f.u.

Lattice parameters (Å, degrees): 8.5520 8.5520 4.6218 90.00 90.00 120.00
Closest atoms and distances in Å follow each position.
Fractional coordinates of all 24 atoms:
1 V 0.9995 0.3313 0.0000  5 F 1.97-2.00, 1 O 2.00
2 V 0.3318 0.0005 0.0000  5 F 1.97-2.00, 1 O 2.00
3 V 0.3424 0.3239 0.4767  1 O 1.70
4 V 0.6687 0.6682 0.0000  5 F 1.97-2.00, 1 O 2.00
5 V 0.6761 0.0186 0.4767  1 O 1.70
6 V 0.9814 0.6576 0.4767  1 O 1.70
7 O 0.4170 0.2152 0.2584  1 V 1.70
8 O 0.7848 0.2019 0.2584  1 V 1.70
9 O 0.7981 0.5830 0.2584  1 V 1.70
10 F 0.0999 0.5490 0.2516  2 V 1.98-1.99
11 F 0.1172 0.8816 0.2559  2 V 1.96-1.98
12 F 0.1184 0.2355 0.2559  2 V 1.96-1.98
13 F 0.2009 0.7850 0.7422  2 V 2.00-2.04
14 F 0.2150 0.4159 0.7422  2 V 2.00-2.04
15 F 0.2320 0.1155 0.7500  2 V 1.97-1.99
16 F 0.4491 0.9001 0.2516  2 V 1.98-1.99
17 F 0.4510 0.5509 0.2516  2 V 1.98-1.99
18 F 0.5442 0.4487 0.7481  2 V 1.96-2.00
19 F 0.5513 0.0955 0.7481  2 V 1.96-2.00
20 F 0.5841 0.7991 0.7422  2 V 2.00-2.04
21 F 0.7645 0.8828 0.2559  2 V 1.96-1.98
22 F 0.8835 0.7680 0.7500  2 V 1.97-1.99
23 F 0.8845 0.1165 0.7500  2 V 1.97-1.99
24 F 0.9045 0.4558 0.7481  2 V 1.96-2.00

---

Consider the structures shown above. The most stable of them is entry Q.